Mg4H2O5 r2SCAN optimized geometry; E_tot = -0.5389 Ry/atom; magnetization = 0.000 μB per atom; theoretical density = 3.2 Mg/m³; ΔH_f (0 K) = -2.473 eV per atom
1.0
3.0174 0.0000 0.0000
-1.5087 2.6132 0.0000
0.0000 0.0000 11.9479
Mg H O
4 2 5
Cartesian
0.0000 0.0000 2.3483
0.0000 0.0000 9.5996
0.0000 1.7421 7.1774
1.5087 0.8711 4.7705
0.0000 1.7421 11.6228
1.5087 0.8711 0.3250
0.0000 0.0000 5.9739
0.0000 1.7421 3.5617
0.0000 1.7421 10.6609
1.5087 0.8711 1.2869
1.5087 0.8711 8.3862

=====

Mg5H2O6 r2SCAN optimized geometry; E_tot = -0.5469 Ry/atom; magnetization = 0.000 μB per atom; theoretical density = 3.2 Mg/m³; ΔH_f (0 K) = -2.549 eV per atom
1.0
3.0067 0.0000 0.0000
-1.5034 2.6039 0.0000
0.0000 0.0000 14.5382
Mg H O
5 2 6
Cartesian
0.0000 0.0000 0.0000
0.0000 1.7359 4.8427
0.0000 1.7359 12.1234
1.5034 0.8680 2.4148
1.5034 0.8680 9.6955
0.0000 1.7359 7.6718
1.5034 0.8680 6.8664
0.0000 0.0000 3.6258
0.0000 0.0000 10.9124
0.0000 1.7359 1.2081
0.0000 1.7359 8.6318
1.5034 0.8680 5.9064
1.5034 0.8680 13.3301

=====

Mg2PHO5 r2SCAN optimized geometry; E_tot = -0.6061 Ry/atom; magnetization = 0.000 μB per atom; theoretical density = 2.9 Mg/m³; ΔH_f (0 K) = -2.618 eV per atom
1.0
8.2183 0.0000 0.0000
0.0000 6.1383 0.0000
0.0000 0.0000 7.3712
Mg P H O
8 4 4 20
Cartesian
0.0000 0.0000 0.0000
0.0000 3.0692 0.0000
1.4607 1.5346 3.1090
2.6484 4.6037 6.7946
4.1092 0.0000 3.6856
4.1092 3.0692 3.6856
5.5699 1.5346 0.5766
6.7576 4.6037 4.2622
1.4501 4.6037 2.4587
2.6591 1.5346 6.1443
5.5592 4.6037 1.2269
6.7683 1.5346 4.9125
0.4289 4.6037 5.3986
3.6802 1.5346 1.7130
4.5381 4.6037 5.6582
7.7894 1.5346 1.9726
0.1669 4.6037 3.2441
0.3343 1.5346 1.3730
1.1059 4.6037 0.9391
1.8210 0.2832 6.4518
1.8210 2.7859 6.4518
2.2882 3.3524 2.7662
2.2882 5.8551 2.7662
3.0032 1.5346 4.6247
3.7749 4.6037 5.0586
3.9423 1.5346 6.9297
4.2761 4.6037 0.4415
4.4434 1.5346 2.3126
5.2151 4.6037 2.7465
5.9301 0.2832 4.6050
5.9301 2.7859 4.6050
6.3974 3.3524 0.9194
6.3974 5.8551 0.9194
7.1124 1.5346 6.4321
7.8841 4.6037 5.9982
8.0514 1.5346 4.1271

=====

Mg7P6H4O24 r2SCAN optimized geometry; E_tot = -0.6210 Ry/atom; magnetization = 0.000 μB per atom; theoretical density = 3.0 Mg/m³; ΔH_f (0 K) = -2.587 eV per atom
1.0
6.4127 0.0000 0.0000
-1.5109 7.6795 0.0000
-2.9950 -3.0135 8.4047
Mg P H O
7 6 4 24
Cartesian
0.0000 0.0000 0.0000
-2.2735 3.9100 4.3200
-0.3108 5.3545 2.4005
1.4336 3.1894 0.9219
0.4732 1.4765 7.4828
2.2176 -0.6886 6.0042
4.1803 0.7559 4.0847
-2.7836 1.9692 6.9600
-1.0868 -1.2203 6.5285
1.1609 0.6724 3.1287
0.7459 3.9935 5.2760
2.9936 5.8863 1.8762
4.6904 2.6967 1.4447
-2.6036 4.2802 6.7817
0.0297 1.5401 4.7373
1.8771 3.1259 3.6674
4.5104 0.3857 1.6230
-2.1233 -0.6450 5.5641
-2.4038 2.2202 5.4942
-3.1924 3.3125 7.6055
-0.5196 3.6526 1.3790
-2.2870 4.9822 6.0612
-1.6911 -1.3979 7.9311
0.8779 -0.3322 2.0224
-0.1577 0.8632 3.9977
-1.5780 1.3787 7.6828
-0.2794 4.5245 4.2730
0.2297 -0.4601 6.4725
1.5378 2.0353 2.5909
0.3690 2.6307 5.8138
1.6772 5.1261 1.9323
2.1862 0.1414 4.1317
3.4848 3.2873 0.7219
2.0646 3.8028 4.4070
1.0289 4.9982 6.3824
3.5980 6.0639 0.4736
4.1938 -0.3162 2.3435
2.4264 1.0134 7.0257
5.0992 1.3535 0.7992
4.3107 2.4458 2.9105
4.0301 5.3110 2.8406

=====

MgH2SO5 r2SCAN optimized geometry; E_tot = -0.5334 Ry/atom; magnetization = 0.000 μB per atom; theoretical density = 2.6 Mg/m³; ΔH_f (0 K) = -1.815 eV per atom
1.0
3.3707 -3.8856 0.0000
3.3707 3.8856 0.0000
-3.2975 0.0000 6.7127
Mg H S O
2 4 2 10
Cartesian
1.6853 1.9428 0.0000
0.0366 -1.9428 3.3564
-1.7247 0.3400 4.7372
-0.0759 -0.3400 1.3809
3.5198 0.3400 5.3319
5.1686 -0.3400 1.9755
0.8976 0.6859 5.0346
2.5463 -0.6859 1.6782
2.5463 2.9668 1.6782
1.5257 0.1817 1.0386
0.2414 1.5163 6.0401
-0.1230 -0.1817 4.3949
1.5538 1.5163 4.0290
1.8901 -1.5163 2.6837
3.5669 0.1817 2.3178
3.2025 -1.5163 0.6727
1.9182 -0.1817 5.6742
0.8976 -2.9668 5.0346

=====

MgH6S4O16 r2SCAN optimized geometry; E_tot = -0.5208 Ry/atom; magnetization = 0.000 μB per atom; theoretical density = 2.3 Mg/m³; ΔH_f (0 K) = -1.434 eV per atom
1.0
5.0916 0.0000 0.0000
0.0000 15.1748 0.0000
-1.9674 0.0000 7.6526
Mg H S O
2 12 8 32
Cartesian
0.0000 0.0000 0.0000
-0.9837 7.5874 3.8263
-0.6244 3.5689 6.1730
0.3593 4.0185 2.3467
1.2416 7.9389 0.7679
0.2579 14.8233 4.5942
0.5101 11.1840 6.4688
1.4937 11.5782 2.6425
1.6305 3.5966 5.0101
2.6142 3.9908 1.1838
2.8664 0.3515 3.0584
1.8827 7.2359 6.8847
2.7649 11.1563 5.3059
3.7486 11.6059 1.4796
0.1476 10.0926 1.8838
-0.8361 12.6695 5.7101
0.6364 1.3049 5.8742
1.6200 6.2825 2.0479
1.5042 8.8923 5.6046
2.4879 13.8699 1.7783
3.9604 2.5053 1.9425
2.9767 5.0821 5.7688
-0.2198 1.6156 1.2849
-1.2035 5.9718 5.1112
-0.3670 3.4853 2.8245
-1.3507 4.1021 6.6508
1.1553 9.5050 1.0510
0.1716 13.2572 4.8773
0.2710 0.6522 4.5225
1.2547 6.9352 0.6962
-0.3181 0.8991 6.8768
0.6656 6.6883 3.0505
0.1439 8.5337 5.2742
1.1276 14.2285 1.4479
0.7879 10.9284 2.9938
-0.1958 11.8338 6.8201
0.5166 2.7413 5.5846
1.5003 4.8461 1.7583
1.6240 10.3287 5.8943
2.6077 12.4335 2.0680
3.3201 3.3410 0.8325
2.3364 4.2464 4.6588
1.9966 0.9463 6.2047
2.9803 6.6411 2.3784
2.4587 8.4865 4.6021
3.4423 14.2757 0.7758
1.8695 8.2396 6.9564
2.8532 14.5226 3.1301
2.9526 1.9176 2.7753
1.9690 5.6698 6.6016
4.4750 11.0727 1.0018
3.4913 11.6894 4.8281
4.3277 9.2030 2.5414
3.3441 13.5592 6.3677

=====

Mg3H2S2O10 r2SCAN optimized geometry; E_tot = -0.5648 Ry/atom; magnetization = 0.000 μB per atom; theoretical density = 2.8 Mg/m³; ΔH_f (0 K) = -2.084 eV per atom; excess energy over the best structure of this formula in the dataset = 12 meV per atom
1.0
6.8506 -2.7280 0.0000
6.8506 2.7280 0.0000
-1.9212 0.0000 4.7728
Mg H S O
3 2 2 10
Cartesian
0.0000 0.0000 0.0000
2.4647 1.3640 2.3864
2.4647 -1.3640 2.3864
0.3697 0.0000 2.4220
11.4103 0.0000 2.3508
4.9332 0.0000 0.5959
6.8468 0.0000 4.1769
1.0824 0.0000 1.7643
5.6724 1.2204 0.8659
2.5789 0.0000 3.9415
3.7052 0.0000 1.4359
6.1076 1.2204 3.9069
5.6724 -1.2204 0.8659
8.0748 0.0000 3.3370
9.2011 0.0000 0.8313
6.1076 -1.2204 3.9069
10.6976 0.0000 3.0085

=====

MgH12SO9 r2SCAN optimized geometry; E_tot = -0.4374 Ry/atom; magnetization = 0.000 μB per atom; theoretical density = 1.8 Mg/m³; ΔH_f (0 K) = -1.281 eV per atom
1.0
4.3624 2.5186 3.0040
-4.3624 2.5186 3.0040
0.0000 -5.0373 3.0040
Mg H S O
1 12 1 9
Cartesian
0.0000 0.0000 0.0000
-4.0378 -0.2554 4.5736
-0.9003 -1.1842 2.2665
-2.6133 -0.9600 4.5325
-0.8016 -2.6245 4.1153
-0.5754 1.3718 2.2665
-1.8721 2.0065 4.1153
1.4757 -0.1876 2.2665
2.2401 -3.3692 4.5736
2.1380 -1.7832 4.5325
0.4753 2.7432 4.5325
2.6737 0.6180 4.1153
1.7977 3.6246 4.5736
0.0000 0.0000 4.5521
-3.5081 -0.9958 4.9388
-0.8343 -3.5956 4.3102
-1.0075 -0.9664 3.9012
-2.6967 2.5203 4.3102
-0.3332 1.3558 3.9012
1.3407 -0.3894 3.9012
2.6165 -2.5402 4.9388
0.8917 3.5360 4.9388
3.5310 1.0753 4.3102